Computed, not measured: an optimized crystal structure of LiTm2Al at the meta-GGA r2SCAN level of DFT.

```
data_LiTm2Al
_symmetry_space_group_name_H-M 'F m -3 m'
_symmetry_Int_Tables_number 225
_symmetry_space_group_name_Hall '-F 4 2 3'
_cell_length_a 7.1646
_cell_length_b 7.1646
_cell_length_c 7.1646
_cell_angle_alpha 90.00
_cell_angle_beta 90.00
_cell_angle_gamma 90.00
loop_
_atom_site_label
_atom_site_type_symbol
_atom_site_fract_x
_atom_site_fract_y
_atom_site_fract_z
Li1 Li 0.0000 0.0000 0.0000
Tm1 Tm 0.2500 0.2500 0.2500
Al1 Al 0.0000 0.0000 0.5000
```

Computed properties:
E_tot ... -20.08 eV per atom
Volume ... 367.78 Å³/cell
Density ... 6.71 g/cm³
Total moment ... 0.00 μB per atom
ΔH_f (0 K) ... -0.2417 eV per atom